1.
DFT (PBE-GGA) results for KSiBiS4 after structural relaxation.

calculated formation energy = -1.078 eV/atom
SG = No. 14
E_tot = -4.64 eV per atom
mass density = 3591 kg/m³

Cell lengths 6.558, 6.809, 17.560 Å; angles 90.00, 107.45, 90.00 degrees
Atoms (fractional coordinates):
K1 0.218 0.250 0.464
K2 0.218 0.250 0.964
K3 0.782 0.750 0.036
K4 0.782 0.750 0.536
Si1 0.294 0.735 0.342
Si2 0.294 0.765 0.842
Si3 0.706 0.235 0.158
Si4 0.706 0.265 0.658
Bi1 0.259 0.200 0.721
Bi2 0.259 0.300 0.221
Bi3 0.741 0.700 0.779
Bi4 0.741 0.800 0.279
S1 0.089 0.749 0.416
S2 0.089 0.751 0.916
S3 0.097 0.687 0.221
S4 0.097 0.813 0.721
S5 0.483 0.001 0.134
S6 0.483 0.499 0.634
S7 0.487 0.507 0.857
S8 0.487 0.993 0.357
S9 0.513 0.007 0.643
S10 0.513 0.493 0.143
S11 0.517 0.501 0.366
S12 0.517 0.999 0.866
S13 0.903 0.187 0.279
S14 0.903 0.313 0.779
S15 0.911 0.249 0.084
S16 0.911 0.251 0.584



2.
DFT (PBE-GGA) results for KBiSe2 after structural relaxation.

calculated formation energy = -0.790 eV/atom
SG = No. 123
E_tot = -3.55 eV per atom
mass density = 5674 kg/m³

Cell lengths 4.429, 4.429, 6.058 Å; angles 90.00, 90.00, 90.00 degrees
Atoms (fractional coordinates):
K1 0.000 0.000 0.000
Bi1 0.500 0.500 0.500
Se1 0.000 0.000 0.500
Se2 0.500 0.500 0.000